1.
Computed, not measured: a geometry-optimized TeRh structure at the PBE level of DFT.

Properties
Its space-group type is No. 194. As for the crystal system: hexagonal.

a b c (Å): 4.065 4.065 5.713
angles (deg): 90.00 90.00 120.00
Element x y z (fractional)
1 Te 0.333 0.667 0.250
2 Te 0.667 0.333 0.750
3 Rh 0.000 0.000 0.000
4 Rh 0.000 0.000 0.500

***

2.
Computed, not measured: a geometry-optimized Hf27Si6P10 structure at the PBE level of DFT.

Properties
The total magnetization comes out at 0.03 μB per cell. Its space-group type is No. 71. As for the crystal system: orthorhombic.

a b c (Å): 15.218 15.218 15.218
angles (deg): 166.76 101.85 79.71
Element x y z (fractional)
1 Hf 0.000 0.000 0.000
2 Hf 0.014 0.421 0.594
3 Hf 0.050 0.183 0.868
4 Hf 0.101 0.784 0.317
5 Hf 0.173 0.579 0.594
6 Hf 0.178 0.931 0.247
7 Hf 0.219 0.719 0.500
8 Hf 0.261 0.392 0.870
9 Hf 0.315 0.183 0.132
10 Hf 0.316 0.069 0.247
11 Hf 0.352 0.852 0.500
12 Hf 0.418 0.000 0.418
13 Hf 0.467 0.784 0.683
14 Hf 0.478 0.608 0.870
15 Hf 0.522 0.392 0.130
16 Hf 0.533 0.216 0.317
17 Hf 0.582 0.000 0.582
18 Hf 0.648 0.148 0.500
19 Hf 0.684 0.931 0.753
20 Hf 0.685 0.817 0.868
21 Hf 0.739 0.608 0.130
22 Hf 0.781 0.281 0.500
23 Hf 0.822 0.069 0.753
24 Hf 0.827 0.421 0.406
25 Hf 0.899 0.216 0.683
26 Hf 0.950 0.817 0.132
27 Hf 0.986 0.579 0.406
28 Si 0.075 0.342 0.733
29 Si 0.126 0.126 0.000
30 Si 0.390 0.658 0.733
31 Si 0.610 0.342 0.267
32 Si 0.874 0.874 0.000
33 Si 0.925 0.658 0.267
34 P 0.140 0.000 0.140
35 P 0.211 0.286 0.925
36 P 0.312 0.500 0.812
37 P 0.361 0.286 0.075
38 P 0.439 0.439 0.000
39 P 0.561 0.561 0.000
40 P 0.639 0.714 0.925
41 P 0.688 0.500 0.188
42 P 0.789 0.714 0.075
43 P 0.860 0.000 0.860

***

3.
Computed, not measured: a geometry-optimized Na6Hf3ZnSi2P4O24 structure at the PBE level of DFT.

Properties
The total magnetization comes out at 0.00 μB per cell. As for the energy above the lowest structure with this stoichiometry: 4 meV/atom.

a b c (Å): 15.707 9.069 9.088
angles (deg): 90.41 124.71 89.86
Element x y z (fractional)
1 Zn 0.605 0.742 0.056
2 Zn 0.105 0.242 0.056
3 O 0.065 0.054 0.911
4 O 0.431 0.549 0.574
5 O 0.927 0.846 0.757
6 O 0.645 0.166 0.401
7 O 0.077 0.859 0.734
8 O 0.942 0.938 0.091
9 O 0.742 0.170 0.252
10 O 0.360 0.848 0.603
11 O 0.853 0.640 0.074
12 O 0.850 0.418 0.257
13 O 0.546 0.162 0.066
14 O 0.414 0.630 0.255
15 O 0.041 0.330 0.574
16 O 0.563 0.452 0.426
17 O 0.427 0.346 0.757
18 O 0.931 0.049 0.574
19 O 0.570 0.656 0.245
20 O 0.145 0.666 0.401
21 O 0.653 0.939 0.253
22 O 0.541 0.830 0.574
23 O 0.070 0.156 0.245
24 O 0.245 0.316 0.756
25 O 0.046 0.662 0.066
26 O 0.442 0.438 0.091
27 O 0.353 0.140 0.074
28 O 0.157 0.579 0.736
29 O 0.353 0.069 0.757
30 O 0.650 0.870 0.926
31 O 0.242 0.670 0.252
32 O 0.256 0.845 0.742
33 O 0.657 0.079 0.736
34 O 0.350 0.918 0.257
35 O 0.153 0.439 0.253
36 O 0.951 0.340 0.940
37 O 0.964 0.659 0.426
38 O 0.756 0.345 0.742
39 O 0.577 0.359 0.734
40 O 0.860 0.348 0.603
41 O 0.565 0.554 0.911
42 O 0.745 0.816 0.756
43 O 0.464 0.159 0.426
44 O 0.914 0.130 0.255
45 O 0.451 0.840 0.940
46 O 0.759 0.683 0.246
47 O 0.853 0.569 0.757
48 O 0.150 0.370 0.926
49 O 0.063 0.952 0.426
50 O 0.259 0.183 0.246
51 Hf 0.604 0.249 0.558
52 Hf 0.104 0.749 0.558
53 Hf 0.395 0.255 0.935
54 Hf 0.396 0.753 0.442
55 Hf 0.896 0.253 0.442
56 Hf 0.895 0.755 0.935
57 P 0.146 0.607 0.242
58 P 0.357 0.896 0.766
59 P 0.646 0.107 0.242
60 P 0.502 0.546 0.255
61 P 0.857 0.396 0.766
62 P 0.002 0.046 0.255
63 P 0.998 0.957 0.747
64 P 0.498 0.457 0.747
65 Na 0.998 0.385 0.231
66 Na 0.250 0.748 0.999
67 Na 0.010 0.589 0.769
68 Na 0.741 0.747 0.475
69 Na 0.798 0.925 0.210
70 Na 0.510 0.089 0.769
71 Na 0.241 0.247 0.475
72 Na 0.184 0.081 0.809
73 Na 0.684 0.581 0.809
74 Na 0.750 0.248 0.999
75 Na 0.298 0.425 0.210
76 Na 0.498 0.885 0.231
77 Si 0.650 0.899 0.751
78 Si 0.150 0.399 0.751
79 Si 0.351 0.101 0.251
80 Si 0.851 0.601 0.251

***

4.
Computed, not measured: a geometry-optimized MgB3H15O13 structure at the PBE level of DFT.

Properties
The total magnetization comes out at 0.00 μB per cell. Its space-group type is No. 2. As for the crystal system: triclinic.

a b c (Å): 6.488 8.352 10.720
angles (deg): 106.12 99.09 109.51
Element x y z (fractional)
1 Mg 0.199 0.347 0.269
2 Mg 0.801 0.653 0.731
3 B 0.304 0.982 0.605
4 B 0.352 0.767 0.725
5 B 0.497 0.885 0.147
6 B 0.503 0.115 0.853
7 B 0.648 0.233 0.275
8 B 0.696 0.018 0.395
9 H 0.028 0.294 0.460
10 H 0.050 0.728 0.195
11 H 0.078 0.016 0.874
12 H 0.135 0.547 0.757
13 H 0.144 0.903 0.407
14 H 0.165 0.246 0.762
15 H 0.183 0.724 0.004
16 H 0.200 0.031 0.165
17 H 0.226 0.226 0.477
18 H 0.248 0.522 0.083
19 H 0.289 0.334 0.030
20 H 0.317 0.689 0.453
21 H 0.372 0.533 0.613
22 H 0.406 0.119 0.025
23 H 0.425 0.707 0.330
24 H 0.575 0.293 0.670
25 H 0.594 0.881 0.975
26 H 0.628 0.467 0.387
27 H 0.683 0.311 0.547
28 H 0.711 0.666 0.970
29 H 0.752 0.478 0.917
30 H 0.774 0.774 0.523
31 H 0.800 0.969 0.835
32 H 0.817 0.276 0.996
33 H 0.835 0.754 0.238
34 H 0.856 0.097 0.593
35 H 0.865 0.453 0.243
36 H 0.922 0.984 0.126
37 H 0.950 0.272 0.805
38 H 0.972 0.706 0.540
39 O 0.040 0.283 0.738
40 O 0.079 0.073 0.182
41 O 0.143 0.669 0.762
42 O 0.192 0.330 0.467
43 O 0.215 0.398 0.089
44 O 0.239 0.014 0.488
45 O 0.261 0.739 0.095
46 O 0.266 0.808 0.601
47 O 0.335 0.620 0.367
48 O 0.361 0.151 0.945
49 O 0.404 0.131 0.723
50 O 0.471 0.647 0.689
51 O 0.489 0.064 0.168
52 O 0.511 0.936 0.832
53 O 0.529 0.353 0.311
54 O 0.596 0.869 0.277
55 O 0.639 0.849 0.055
56 O 0.665 0.380 0.633
57 O 0.734 0.192 0.399
58 O 0.739 0.261 0.905
59 O 0.761 0.986 0.512
60 O 0.785 0.602 0.911
61 O 0.808 0.670 0.533
62 O 0.857 0.331 0.238
63 O 0.921 0.927 0.818
64 O 0.960 0.717 0.262

***

5.
Computed, not measured: a geometry-optimized Ca21Zn4Sb18 structure at the PBE level of DFT.

Properties
Its space-group type is No. 12. As for the crystal system: monoclinic.

a b c (Å): 12.111 12.111 17.169
angles (deg): 91.35 91.35 87.44
Element x y z (fractional)
1 Ca 0.005 0.680 0.064
2 Ca 0.009 0.755 0.443
3 Ca 0.071 0.822 0.882
4 Ca 0.082 0.426 0.743
5 Ca 0.092 0.092 0.754
6 Ca 0.097 0.758 0.657
7 Ca 0.178 0.929 0.118
8 Ca 0.230 0.496 0.558
9 Ca 0.236 0.236 0.406
10 Ca 0.242 0.903 0.343
11 Ca 0.245 0.991 0.557
12 Ca 0.247 0.247 0.082
13 Ca 0.252 0.577 0.354
14 Ca 0.260 0.572 0.149
15 Ca 0.269 0.508 0.923
16 Ca 0.320 0.995 0.936
17 Ca 0.423 0.748 0.646
18 Ca 0.426 0.082 0.743
19 Ca 0.428 0.740 0.851
20 Ca 0.492 0.731 0.077
21 Ca 0.496 0.230 0.558
22 Ca 0.504 0.770 0.442
23 Ca 0.508 0.269 0.923
24 Ca 0.572 0.260 0.149
25 Ca 0.574 0.918 0.257
26 Ca 0.577 0.252 0.354
27 Ca 0.680 0.005 0.064
28 Ca 0.731 0.492 0.077
29 Ca 0.740 0.428 0.851
30 Ca 0.748 0.423 0.646
31 Ca 0.753 0.753 0.918
32 Ca 0.755 0.009 0.443
33 Ca 0.758 0.097 0.657
34 Ca 0.764 0.764 0.594
35 Ca 0.770 0.504 0.442
36 Ca 0.822 0.071 0.882
37 Ca 0.903 0.242 0.343
38 Ca 0.908 0.908 0.246
39 Ca 0.918 0.574 0.257
40 Ca 0.929 0.178 0.118
41 Ca 0.991 0.245 0.557
42 Ca 0.995 0.320 0.936
43 Zn 0.115 0.355 0.252
44 Zn 0.346 0.346 0.743
45 Zn 0.355 0.115 0.252
46 Zn 0.499 0.499 0.297
47 Zn 0.501 0.501 0.703
48 Zn 0.645 0.885 0.748
49 Zn 0.654 0.654 0.257
50 Zn 0.885 0.645 0.748
51 Sb 0.035 0.427 0.110
52 Sb 0.037 0.037 0.423
53 Sb 0.046 0.441 0.401
54 Sb 0.076 0.076 0.964
55 Sb 0.103 0.739 0.244
56 Sb 0.121 0.121 0.241
57 Sb 0.240 0.240 0.616
58 Sb 0.252 0.252 0.873
59 Sb 0.255 0.745 0.000
60 Sb 0.256 0.744 0.500
61 Sb 0.261 0.897 0.756
62 Sb 0.288 0.572 0.740
63 Sb 0.346 0.346 0.247
64 Sb 0.427 0.035 0.110
65 Sb 0.428 0.712 0.260
66 Sb 0.438 0.438 0.443
67 Sb 0.441 0.046 0.401
68 Sb 0.450 0.450 0.065
69 Sb 0.550 0.550 0.935
70 Sb 0.559 0.954 0.599
71 Sb 0.562 0.562 0.557
72 Sb 0.572 0.288 0.740
73 Sb 0.573 0.965 0.890
74 Sb 0.654 0.654 0.753
75 Sb 0.712 0.428 0.260
76 Sb 0.739 0.103 0.244
77 Sb 0.744 0.256 0.500
78 Sb 0.745 0.255 0.000
79 Sb 0.748 0.748 0.127
80 Sb 0.760 0.760 0.384
81 Sb 0.879 0.879 0.759
82 Sb 0.897 0.261 0.756
83 Sb 0.924 0.924 0.036
84 Sb 0.954 0.559 0.599
85 Sb 0.963 0.963 0.577
86 Sb 0.965 0.573 0.890

***

Computed DFT total energy, in the same sequence as the records: -5.57, -9.19, -7.34, -5.76, -3.75 eV per atom.